A plane-wave DFT calculation with r²SCAN was carried out for crystalline Tm2Zn17 at its relaxed geometry.

Cell lengths 6.6691, 6.6691, 6.6691 Å; angles 82.83, 82.83, 82.83 degrees
Fractional positions:
Tm  0.1644  0.1644  0.1644
Tm  0.8356  0.8356  0.8356
Zn  0.0000  0.5000  0.5000
Zn  0.1479  0.1479  0.6615
Zn  0.1479  0.6615  0.1479
Zn  0.2026  0.5000  0.7974
Zn  0.2026  0.7974  0.5000
Zn  0.3385  0.8521  0.8521
Zn  0.3996  0.3996  0.3996
Zn  0.5000  0.0000  0.5000
Zn  0.5000  0.2026  0.7974
Zn  0.5000  0.5000  0.0000
Zn  0.5000  0.7974  0.2026
Zn  0.6004  0.6004  0.6004
Zn  0.6615  0.1479  0.1479
Zn  0.7974  0.2026  0.5000
Zn  0.7974  0.5000  0.2026
Zn  0.8521  0.3385  0.8521
Zn  0.8521  0.8521  0.3385

Properties
- energy of formation (eV per atom) = -0.25
- crystal system = trigonal
- space-group type = R-3m, No. 166

---

A plane-wave DFT calculation with r²SCAN was carried out for crystalline SmTmIn2 at its relaxed geometry.

Cell lengths 5.3148, 5.3148, 5.3148 Å; angles 60.00, 60.00, 60.00 degrees
Fractional positions:
Sm  0.0000  0.0000  0.0000
Tm  0.5000  0.5000  0.5000
In  0.2500  0.2500  0.2500
In  0.7500  0.7500  0.7500

Properties
- energy of formation (eV per atom) = -0.58
- crystal system = cubic
- space-group type = Fm-3m, No. 225

---

A plane-wave DFT calculation with r²SCAN was carried out for crystalline SiO2 at its relaxed geometry.

Cell lengths 10.1691, 10.1691, 10.1691 Å; angles 127.98, 127.98, 76.66 degrees
Fractional positions:
Si  0.1061  0.1271  0.4208
Si  0.1271  0.2063  0.0210
Si  0.1853  0.7063  0.5792
Si  0.2063  0.6853  0.0792
Si  0.2937  0.3729  0.4790
Si  0.3147  0.8939  0.5210
Si  0.3729  0.3939  0.0792
Si  0.3939  0.8147  0.0210
Si  0.6061  0.1853  0.9790
Si  0.6271  0.6061  0.9208
Si  0.6853  0.1061  0.4790
Si  0.7063  0.6271  0.5210
Si  0.7937  0.3147  0.9208
Si  0.8147  0.2937  0.4208
Si  0.8729  0.7937  0.9790
Si  0.8939  0.8729  0.5792
O  0.0007  0.7507  0.5014
O  0.0080  0.6712  0.9888
O  0.0192  0.0080  0.8368
O  0.1712  0.5080  0.4888
O  0.1824  0.0192  0.5112
O  0.2386  0.7500  0.9886
O  0.2493  0.2507  0.2500
O  0.2500  0.2386  0.9886
O  0.2500  0.7386  0.4886
O  0.2507  0.5007  0.0014
O  0.2614  0.2500  0.5114
O  0.3176  0.8288  0.8368
O  0.3288  0.8176  0.3368
O  0.4808  0.3176  0.9888
O  0.4920  0.4808  0.6632
O  0.4993  0.0007  0.7500
O  0.5007  0.9993  0.2500
O  0.5080  0.5192  0.3368
O  0.5192  0.6824  0.0112
O  0.6712  0.1824  0.6632
O  0.6824  0.1712  0.1632
O  0.7386  0.7500  0.4886
O  0.7493  0.4993  0.9986
O  0.7500  0.2614  0.5114
O  0.7500  0.7614  0.0114
O  0.7507  0.7493  0.7500
O  0.7614  0.2500  0.0114
O  0.8176  0.9808  0.4888
O  0.8288  0.4920  0.5112
O  0.9808  0.9920  0.1632
O  0.9920  0.3288  0.0112
O  0.9993  0.2493  0.4986

Properties
- energy of formation (eV per atom) = -3.01
- crystal system = tetragonal
- space-group type = I4_1/acd, No. 142

---

A plane-wave DFT calculation with r²SCAN was carried out for crystalline Zr3Ti2Ga3 at its relaxed geometry.

Cell lengths 7.9287, 7.9287, 5.4910 Å; angles 90.00, 90.00, 120.00 degrees
Fractional positions:
Zr  0.0000  0.2437  0.2500
Zr  0.0000  0.7563  0.7500
Zr  0.2437  0.0000  0.2500
Zr  0.2437  0.2437  0.7500
Zr  0.7563  0.0000  0.7500
Zr  0.7563  0.7563  0.2500
Ti  0.3333  0.6667  0.0000
Ti  0.3333  0.6667  0.5000
Ti  0.6667  0.3333  0.0000
Ti  0.6667  0.3333  0.5000
Ga  0.0000  0.4006  0.7500
Ga  0.0000  0.5994  0.2500
Ga  0.4006  0.0000  0.7500
Ga  0.4006  0.4006  0.2500
Ga  0.5994  0.0000  0.2500
Ga  0.5994  0.5994  0.7500

Properties
- energy of formation (eV per atom) = -0.59
- crystal system = hexagonal
- space-group type = P6_3/mcm, No. 193

---

A plane-wave DFT calculation with r²SCAN was carried out for crystalline Pm2O3 at its relaxed geometry.

Cell lengths 9.5355, 9.5355, 9.5355 Å; angles 109.47, 109.47, 109.47 degrees
Fractional positions:
Pm  0.0000  0.0000  0.5000
Pm  0.0000  0.5000  0.0000
Pm  0.0309  0.7500  0.7809
Pm  0.2191  0.9691  0.2500
Pm  0.2500  0.2191  0.9691
Pm  0.2500  0.7191  0.4691
Pm  0.2809  0.5309  0.7500
Pm  0.4691  0.2500  0.7191
Pm  0.5000  0.0000  0.0000
Pm  0.5000  0.5000  0.5000
Pm  0.5309  0.7500  0.2809
Pm  0.7191  0.4691  0.2500
Pm  0.7500  0.2809  0.5309
Pm  0.7500  0.7809  0.0309
Pm  0.7809  0.0309  0.7500
Pm  0.9691  0.2500  0.2191
O  0.0121  0.0407  0.2712
O  0.0286  0.4879  0.7592
O  0.0407  0.2712  0.0121
O  0.2288  0.2695  0.7408
O  0.2305  0.4593  0.4714
O  0.2408  0.9714  0.5121
O  0.2592  0.7712  0.7305
O  0.2695  0.7408  0.2288
O  0.2712  0.0121  0.0407
O  0.4593  0.4714  0.2305
O  0.4714  0.2305  0.4593
O  0.4879  0.7592  0.0286
O  0.5121  0.2408  0.9714
O  0.5286  0.7695  0.5407
O  0.5407  0.5286  0.7695
O  0.7288  0.9879  0.9593
O  0.7305  0.2592  0.7712
O  0.7408  0.2288  0.2695
O  0.7592  0.0286  0.4879
O  0.7695  0.5407  0.5286
O  0.7712  0.7305  0.2592
O  0.9593  0.7288  0.9879
O  0.9714  0.5121  0.2408
O  0.9879  0.9593  0.7288

Properties
- energy of formation (eV per atom) = -3.73
- crystal system = cubic
- space-group type = Ia-3, No. 206

---

A plane-wave DFT calculation with r²SCAN was carried out for crystalline SmErRh2 at its relaxed geometry.

Cell lengths 4.8480, 4.8480, 4.8480 Å; angles 60.00, 60.00, 60.00 degrees
Fractional positions:
Sm  0.0000  0.0000  0.0000
Er  0.5000  0.5000  0.5000
Rh  0.2500  0.2500  0.2500
Rh  0.7500  0.7500  0.7500

Properties
- energy of formation (eV per atom) = -0.87
- crystal system = cubic
- space-group type = Fm-3m, No. 225